1.
# Ba2InS4, optimized geometry, DFT PBE-GGA
# * energy of formation from the pure elements: -12.08 eV/f.u.
data_Ba2InS4
_symmetry_space_group_name_H-M 'P 1'
_symmetry_Int_Tables_number 1
_cell_length_a 6.3416
_cell_length_b 10.1902
_cell_length_c 13.2330
_cell_angle_alpha 104.18
_cell_angle_beta 90.43
_cell_angle_gamma 91.08
loop_
_symmetry_equiv_pos_as_xyz
'x,y,z'
loop_
_atom_site_label
_atom_site_type_symbol
_atom_site_fract_x
_atom_site_fract_y
_atom_site_fract_z
Ba1 Ba 0.2379 0.0789 0.3818
S1 S 0.2475 0.6323 0.9522
S2 S 0.2806 0.7445 0.2764
In1 In 0.8319 0.1966 0.8887
S3 S 0.0809 0.3481 0.3127
In2 In 0.6786 0.7927 0.3034
Ba2 Ba 0.7621 0.9211 0.6182
S4 S 0.5854 0.6525 0.6867
S5 S 0.7560 0.9606 0.8864
Ba3 Ba 0.7443 0.5751 0.8922
S6 S 0.4146 0.3475 0.3133
S7 S 0.7194 0.2555 0.7236
Ba4 Ba 0.7411 0.1071 0.1504
S8 S 0.7357 0.0405 0.3925
S9 S 0.7710 0.7800 0.1205
Ba5 Ba 0.2557 0.4249 0.1078
Ba6 Ba 0.7458 0.3787 0.5232
In3 In 0.3214 0.2073 0.6966
Ba7 Ba 0.2542 0.6213 0.4768
S10 S 0.2643 0.9595 0.6075
In4 In 0.1681 0.8034 0.1113
S11 S 0.7525 0.3677 0.0478
S12 S 0.2440 0.0394 0.1136
Ba8 Ba 0.2589 0.8929 0.8496
S13 S 0.2396 0.3360 0.5704
S14 S 0.2290 0.2200 0.8795
S15 S 0.7604 0.6640 0.4296
S16 S 0.9191 0.6519 0.6873

2.
# Ba2In2S5, optimized geometry, DFT PBE-GGA
# * energy of formation from the pure elements: -14.26 eV/f.u.
data_Ba2In2S5
_symmetry_space_group_name_H-M 'P 1'
_symmetry_Int_Tables_number 1
_cell_length_a 11.9940
_cell_length_b 12.9249
_cell_length_c 13.3990
_cell_angle_alpha 90.00
_cell_angle_beta 90.00
_cell_angle_gamma 90.00
loop_
_symmetry_equiv_pos_as_xyz
'x,y,z'
loop_
_atom_site_label
_atom_site_type_symbol
_atom_site_fract_x
_atom_site_fract_y
_atom_site_fract_z
In1 In 0.9426 0.2991 0.9500
In2 In 0.4426 0.2009 0.9500
S1 S 0.2584 0.4878 0.2911
In3 In 0.2253 0.4653 0.9723
In4 In 0.2747 0.9653 0.0277
S2 S 0.7428 0.3564 0.9596
S3 S 0.2428 0.1436 0.9596
S4 S 0.7572 0.3564 0.4596
S5 S 0.5691 0.1111 0.0700
Ba1 Ba 0.9947 0.9744 0.1940
S6 S 0.0691 0.3889 0.0700
S7 S 0.2416 0.9878 0.7089
In5 In 0.2747 0.4653 0.4723
S8 S 0.2428 0.6436 0.5404
S9 S 0.4309 0.8889 0.9300
S10 S 0.5020 0.7781 0.2235
S11 S 0.9309 0.6111 0.9300
S12 S 0.9060 0.6215 0.4748
S13 S 0.5940 0.6215 0.9748
Ba2 Ba 0.4947 0.0256 0.3060
S14 S 0.0020 0.7219 0.2235
Ba3 Ba 0.7516 0.7537 0.8088
S15 S 0.2584 0.9878 0.2089
S16 S 0.7572 0.8564 0.0404
Ba4 Ba 0.7516 0.2537 0.6912
S17 S 0.4980 0.7219 0.7235
S18 S 0.0020 0.2219 0.2765
Ba5 Ba 0.4947 0.5256 0.1940
Ba6 Ba 0.7484 0.7537 0.3088
S19 S 0.5020 0.2781 0.2765
Ba7 Ba 0.2516 0.7463 0.8088
S20 S 0.4060 0.3785 0.0252
S21 S 0.5940 0.1215 0.5252
Ba8 Ba 0.0053 0.0256 0.8060
S22 S 0.9980 0.2781 0.7765
S23 S 0.7584 0.5122 0.2089
S24 S 0.7416 0.5122 0.7089
Ba9 Ba 0.2484 0.2463 0.1912
S25 S 0.2416 0.4878 0.7911
In6 In 0.0574 0.2009 0.4500
S26 S 0.2572 0.1436 0.4596
S27 S 0.7584 0.0122 0.2911
Ba10 Ba 0.5053 0.4744 0.8060
In7 In 0.9426 0.7991 0.5500
In8 In 0.0574 0.7009 0.0500
S28 S 0.9309 0.1111 0.5700
In9 In 0.7747 0.5347 0.0277
Ba11 Ba 0.0053 0.5256 0.6940
S29 S 0.9980 0.7781 0.7235
S30 S 0.9060 0.1215 0.0252
S31 S 0.7416 0.0122 0.7911
S32 S 0.5691 0.6111 0.4300
Ba12 Ba 0.7484 0.2537 0.1912
S33 S 0.4980 0.2219 0.7765
In10 In 0.5574 0.2991 0.4500
Ba13 Ba 0.5053 0.9744 0.6940
S34 S 0.4309 0.3889 0.5700
In11 In 0.2253 0.9653 0.5277
S35 S 0.0691 0.8889 0.4300
S36 S 0.0940 0.8785 0.9748
S37 S 0.7428 0.8564 0.5404
In12 In 0.5574 0.7991 0.0500
S38 S 0.4060 0.8785 0.4748
In13 In 0.7747 0.0347 0.4723
Ba14 Ba 0.2484 0.7463 0.3088
S39 S 0.0940 0.3785 0.5252
In14 In 0.4426 0.7009 0.5500
In15 In 0.7253 0.0347 0.9723
Ba15 Ba 0.9947 0.4744 0.3060
S40 S 0.2572 0.6436 0.0404
Ba16 Ba 0.2516 0.2463 0.6912
In16 In 0.7253 0.5347 0.5277

3.
# BaIn2S4, optimized geometry, DFT PBE-GGA
# * energy of formation from the pure elements: -9.56 eV/f.u.
data_BaIn2S4
_symmetry_space_group_name_H-M 'P 1'
_symmetry_Int_Tables_number 1
_cell_length_a 15.6905
_cell_length_b 13.0025
_cell_length_c 12.8789
_cell_angle_alpha 74.64
_cell_angle_beta 53.04
_cell_angle_gamma 52.32
loop_
_symmetry_equiv_pos_as_xyz
'x,y,z'
loop_
_atom_site_label
_atom_site_type_symbol
_atom_site_fract_x
_atom_site_fract_y
_atom_site_fract_z
In1 In 0.5129 0.2361 0.7636
Ba1 Ba 0.2500 0.2500 0.2500
S1 S 0.0402 0.5426 0.7096
In2 In 0.4864 0.7626 0.7371
S2 S 0.5425 0.5404 0.7074
S3 S 0.2817 0.9703 0.2780
S4 S 0.0405 0.5417 0.2095
S5 S 0.7074 0.2098 0.5425
Ba2 Ba 0.7527 0.7527 0.2473
Ba3 Ba 0.2473 0.2473 0.7527
S6 S 0.7772 0.4756 0.3101
S7 S 0.4728 0.7744 0.9399
S8 S 0.3101 0.4371 0.7772
S9 S 0.5417 0.0405 0.2083
S10 S 0.5404 0.5425 0.2098
In3 In 0.4874 0.7636 0.2361
S11 S 0.2098 0.7074 0.5404
In4 In 0.2680 0.9819 0.0888
S12 S 0.9683 0.2797 0.9720
Ba4 Ba 0.5000 0.5000 0.5000
S13 S 0.7096 0.7075 0.0402
S14 S 0.7800 0.9720 0.2797
In5 In 0.5888 0.1612 0.2681
Ba5 Ba 0.0027 0.0027 0.4973
In6 In 0.7371 0.0139 0.4864
S15 S 0.9703 0.2817 0.4700
S16 S 0.2095 0.7083 0.0405
S17 S 0.0417 0.0405 0.7083
In7 In 0.1612 0.5888 0.9820
In8 In 0.7636 0.4874 0.5129
S18 S 0.2797 0.9683 0.7800
S19 S 0.2095 0.2083 0.0405
S20 S 0.2083 0.2095 0.5417
S21 S 0.0405 0.0417 0.2095
In9 In 0.2681 0.9820 0.5888
S22 S 0.9720 0.7800 0.9683
In10 In 0.6612 0.0888 0.9819
In11 In 0.0888 0.6612 0.2680
S23 S 0.4371 0.3101 0.4756
Ba6 Ba 0.4973 0.4973 0.0027
In12 In 0.9819 0.2680 0.6612
S24 S 0.9399 0.8129 0.4728
S25 S 0.7083 0.2095 0.0417
S26 S 0.7075 0.7096 0.5426
In13 In 0.9820 0.2681 0.1612
S27 S 0.4756 0.7772 0.4371
Ba7 Ba 0.7500 0.7500 0.7500
S28 S 0.4700 0.2780 0.9703
S29 S 0.7744 0.4728 0.8129
In14 In 0.0139 0.7371 0.7626
S30 S 0.5426 0.0402 0.7075
Ba8 Ba 0.0000 0.0000 0.0000
S31 S 0.2780 0.4700 0.2817
In15 In 0.2361 0.5129 0.4874
In16 In 0.7626 0.4864 0.0139
S32 S 0.8129 0.9399 0.7744

4.
# Ba5In2Sb6, optimized geometry, DFT PBE-GGA
# * energy of formation from the pure elements: -11.92 eV/f.u.
data_Ba5In2Sb6
_symmetry_space_group_name_H-M 'P 1'
_symmetry_Int_Tables_number 1
_cell_length_a 4.8699
_cell_length_b 13.5614
_cell_length_c 15.6050
_cell_angle_alpha 90.00
_cell_angle_beta 90.00
_cell_angle_gamma 90.00
loop_
_symmetry_equiv_pos_as_xyz
'x,y,z'
loop_
_atom_site_label
_atom_site_type_symbol
_atom_site_fract_x
_atom_site_fract_y
_atom_site_fract_z
Ba1 Ba 0.5000 0.0873 0.7520
Sb1 Sb 0.0000 0.1566 0.5968
In1 In 0.0000 0.8261 0.7885
Sb2 Sb 0.5000 0.6628 0.1826
Ba2 Ba 0.5000 0.5873 0.7480
Sb3 Sb 0.5000 0.1628 0.3174
Sb4 Sb 0.0000 0.6566 0.9032
Sb5 Sb 0.0000 0.3434 0.0968
Ba3 Ba 0.5000 0.6724 0.4825
Sb6 Sb 0.5000 0.8372 0.6826
Ba4 Ba 0.5000 0.9127 0.2480
In2 In 0.0000 0.6739 0.2885
In3 In 0.0000 0.3261 0.7115
Sb7 Sb 0.0000 0.5139 0.5919
Ba5 Ba 0.5000 0.1724 0.0175
Ba6 Ba 0.5000 0.5000 0.0000
Sb8 Sb 0.0000 0.9861 0.0919
Ba7 Ba 0.5000 0.8276 0.9825
Ba8 Ba 0.5000 0.0000 0.5000
Sb9 Sb 0.0000 0.4861 0.4081
Sb10 Sb 0.5000 0.3372 0.8174
In4 In 0.0000 0.1739 0.2115
Ba9 Ba 0.5000 0.3276 0.5175
Sb11 Sb 0.0000 0.8434 0.4032
Ba10 Ba 0.5000 0.4127 0.2520
Sb12 Sb 0.0000 0.0139 0.9081

5.
# Ba2InSbSe5, optimized geometry, DFT PBE-GGA
# * energy of formation from the pure elements: -12.88 eV/f.u.
# * magnetization: 0.00 μB/f.u.
data_Ba2InSbSe5
_symmetry_space_group_name_H-M 'P 1'
_symmetry_Int_Tables_number 1
_cell_length_a 9.9318
_cell_length_b 9.9318
_cell_length_c 13.3821
_cell_angle_alpha 90.00
_cell_angle_beta 90.00
_cell_angle_gamma 154.71
loop_
_symmetry_equiv_pos_as_xyz
'x,y,z'
loop_
_atom_site_label
_atom_site_type_symbol
_atom_site_fract_x
_atom_site_fract_y
_atom_site_fract_z
In1 In 0.5616 0.4384 0.0524
Se1 Se 0.7175 0.2825 0.8367
Sb1 Sb 0.2187 0.7813 0.9775
Se2 Se 0.0457 0.9543 0.9410
Se3 Se 0.5020 0.4980 0.7230
Ba1 Ba 0.8719 0.1281 0.1918
Se4 Se 0.3550 0.6450 0.9997
Se5 Se 0.6900 0.3100 0.1301
Ba2 Ba 0.1281 0.8719 0.6918
Ba3 Ba 0.8860 0.1140 0.8131
Se6 Se 0.4980 0.5020 0.2230
In2 In 0.4384 0.5616 0.5524
Se7 Se 0.6450 0.3550 0.4997
Ba4 Ba 0.1140 0.8860 0.3131
Se8 Se 0.9543 0.0457 0.4410
Se9 Se 0.3100 0.6900 0.6301
Se10 Se 0.2825 0.7175 0.3367
Sb2 Sb 0.7813 0.2187 0.4775

6.
# Ba2InSbTe5, optimized geometry, DFT PBE-GGA
# * energy of formation from the pure elements: -10.50 eV/f.u.
# * magnetization: 0.00 μB/f.u.
data_Ba2InSbTe5
_symmetry_space_group_name_H-M 'P 1'
_symmetry_Int_Tables_number 1
_cell_length_a 4.6472
_cell_length_b 14.0687
_cell_length_c 20.6746
_cell_angle_alpha 90.00
_cell_angle_beta 90.00
_cell_angle_gamma 90.00
loop_
_symmetry_equiv_pos_as_xyz
'x,y,z'
loop_
_atom_site_label
_atom_site_type_symbol
_atom_site_fract_x
_atom_site_fract_y
_atom_site_fract_z
In1 In 0.2500 0.1784 0.8183
Te1 Te 0.2500 0.6051 0.5514
Te2 Te 0.2500 0.7081 0.2059
Te3 Te 0.7500 0.8949 0.0514
Te4 Te 0.7500 0.4989 0.2562
In2 In 0.7500 0.8216 0.1817
Te5 Te 0.2500 0.4088 0.9644
Te6 Te 0.7500 0.0912 0.4644
Ba1 Ba 0.7500 0.0504 0.6340
Sb1 Sb 0.2500 0.7312 0.0338
Ba2 Ba 0.7500 0.4265 0.6251
Te7 Te 0.7500 0.7597 0.3945
Ba3 Ba 0.2500 0.0735 0.1251
Te8 Te 0.2500 0.7403 0.8945
Sb2 Sb 0.2500 0.2312 0.4662
Te9 Te 0.7500 0.3949 0.4486
Ba4 Ba 0.7500 0.5504 0.8660
Te10 Te 0.7500 0.2597 0.1055
Ba5 Ba 0.7500 0.9265 0.8749
Te11 Te 0.7500 0.2919 0.7941
Ba6 Ba 0.2500 0.4496 0.1340
Ba7 Ba 0.2500 0.9496 0.3660
Te12 Te 0.2500 0.5011 0.7438
Te13 Te 0.2500 0.1051 0.9486
Te14 Te 0.2500 0.9088 0.5356
Te15 Te 0.7500 0.5912 0.0356
In3 In 0.2500 0.6784 0.6817
Te16 Te 0.7500 0.7919 0.7059
Te17 Te 0.2500 0.2081 0.2941
Ba8 Ba 0.2500 0.5735 0.3749
Te18 Te 0.7500 0.9989 0.2438
In4 In 0.7500 0.3216 0.3183
Sb3 Sb 0.7500 0.7688 0.5338
Te19 Te 0.2500 0.2403 0.6055
Sb4 Sb 0.7500 0.2688 0.9662
Te20 Te 0.2500 0.0011 0.7562

7.
# BaIn2Se4, optimized geometry, DFT PBE-GGA
# * energy of formation from the pure elements: -9.13 eV/f.u.
# * magnetization: 0.00 μB/f.u.
data_BaIn2Se4
_symmetry_space_group_name_H-M 'P 1'
_symmetry_Int_Tables_number 1
_cell_length_a 16.3716
_cell_length_b 13.5563
_cell_length_c 13.4017
_cell_angle_alpha 74.79
_cell_angle_beta 53.04
_cell_angle_gamma 52.18
loop_
_symmetry_equiv_pos_as_xyz
'x,y,z'
loop_
_atom_site_label
_atom_site_type_symbol
_atom_site_fract_x
_atom_site_fract_y
_atom_site_fract_z
In1 In 0.5927 0.1570 0.2661
In2 In 0.2661 0.9841 0.5927
Se1 Se 0.0383 0.5399 0.2119
In3 In 0.5116 0.2370 0.7623
Se2 Se 0.7122 0.7089 0.0382
Se3 Se 0.2098 0.2119 0.5399
In4 In 0.1570 0.5927 0.9841
Ba1 Ba 0.2478 0.2478 0.7522
Se4 Se 0.0381 0.0402 0.2117
Se5 Se 0.5408 0.0382 0.7089
Se6 Se 0.2846 0.4634 0.2784
In5 In 0.7623 0.4891 0.5116
Se7 Se 0.0382 0.5408 0.7122
Se8 Se 0.4756 0.7717 0.9428
In6 In 0.9841 0.2661 0.1570
Se9 Se 0.0402 0.0381 0.7101
Ba2 Ba 0.2500 0.2500 0.2500
Se10 Se 0.4634 0.2846 0.9736
Se11 Se 0.2784 0.9736 0.2846
In7 In 0.6573 0.0930 0.9839
Ba3 Ba 0.0022 0.0022 0.4978
Se12 Se 0.4400 0.3072 0.4783
In8 In 0.2659 0.9839 0.0930
In9 In 0.0130 0.7384 0.7609
Ba4 Ba 0.4978 0.4978 0.0022
Se13 Se 0.9428 0.8100 0.4756
Se14 Se 0.4783 0.7744 0.4400
Se15 Se 0.7744 0.4783 0.3072
Se16 Se 0.7092 0.2118 0.5411
In10 In 0.7609 0.4877 0.0130
Se17 Se 0.9716 0.2764 0.9654
Se18 Se 0.9736 0.2784 0.4634
Se19 Se 0.8100 0.9428 0.7717
In11 In 0.9839 0.2659 0.6573
Se20 Se 0.7717 0.4756 0.8100
Se21 Se 0.7089 0.7122 0.5408
Ba5 Ba 0.0000 0.0000 0.0000
Se22 Se 0.7101 0.2117 0.0402
In12 In 0.7384 0.0130 0.4877
Se23 Se 0.2119 0.2098 0.0383
In13 In 0.4891 0.7623 0.2370
In14 In 0.0930 0.6573 0.2659
Ba6 Ba 0.5000 0.5000 0.5000
Se24 Se 0.9654 0.7866 0.9716
Se25 Se 0.7866 0.9654 0.2764
Se26 Se 0.5399 0.0383 0.2098
Ba7 Ba 0.7522 0.7522 0.2478
Se27 Se 0.5411 0.5378 0.7092
Se28 Se 0.2118 0.7092 0.5378
Ba8 Ba 0.7500 0.7500 0.7500
Se29 Se 0.5378 0.5411 0.2118
In15 In 0.2370 0.5116 0.4891
Se30 Se 0.2117 0.7101 0.0381
Se31 Se 0.2764 0.9716 0.7866
Se32 Se 0.3072 0.4400 0.7744
In16 In 0.4877 0.7609 0.7384

8.
# Ba2SmInSe5, optimized geometry, DFT PBE-GGA
# * energy of formation from the pure elements: -16.92 eV/f.u.
# * magnetization: 0.01 μB/f.u.
data_Ba2SmInSe5
_symmetry_space_group_name_H-M 'P 1'
_symmetry_Int_Tables_number 1
_cell_length_a 9.8245
_cell_length_b 9.8245
_cell_length_c 13.5048
_cell_angle_alpha 90.00
_cell_angle_beta 90.00
_cell_angle_gamma 154.41
loop_
_symmetry_equiv_pos_as_xyz
'x,y,z'
loop_
_atom_site_label
_atom_site_type_symbol
_atom_site_fract_x
_atom_site_fract_y
_atom_site_fract_z
Se1 Se 0.3583 0.6417 0.9995
Ba1 Ba 0.1312 0.8688 0.6855
Sm1 Sm 0.7888 0.2112 0.4823
Ba2 Ba 0.8836 0.1164 0.8186
Se2 Se 0.5051 0.4949 0.7345
Sm2 Sm 0.2112 0.7888 0.9823
Ba3 Ba 0.8688 0.1312 0.1855
Se3 Se 0.4949 0.5051 0.2345
Ba4 Ba 0.1164 0.8836 0.3186
Se4 Se 0.9516 0.0484 0.4504
In1 In 0.5516 0.4484 0.0632
Se5 Se 0.0484 0.9516 0.9504
Se6 Se 0.2910 0.7090 0.3397
Se7 Se 0.7090 0.2910 0.8397
Se8 Se 0.6856 0.3144 0.1330
Se9 Se 0.6417 0.3583 0.4995
Se10 Se 0.3144 0.6856 0.6330
In2 In 0.4484 0.5516 0.5632

9.
# Ba4In2Te2Se5, optimized geometry, DFT PBE-GGA
# * energy of formation from the pure elements: -20.86 eV/f.u.
# * magnetization: 0.00 μB/f.u.
data_Ba4In2Te2Se5
_symmetry_space_group_name_H-M 'P 1'
_symmetry_Int_Tables_number 1
_cell_length_a 8.7622
_cell_length_b 8.7622
_cell_length_c 11.4925
_cell_angle_alpha 90.00
_cell_angle_beta 90.00
_cell_angle_gamma 90.00
loop_
_symmetry_equiv_pos_as_xyz
'x,y,z'
loop_
_atom_site_label
_atom_site_type_symbol
_atom_site_fract_x
_atom_site_fract_y
_atom_site_fract_z
Ba1 Ba 0.6574 0.1574 0.0000
Te1 Te 0.8200 0.6800 0.5000
Ba2 Ba 0.1574 0.3426 0.0000
Ba3 Ba 0.8426 0.6574 0.0000
Se1 Se 0.8415 0.3415 0.1982
Ba4 Ba 0.3426 0.8426 0.0000
Te2 Te 0.1800 0.3200 0.5000
Ba5 Ba 0.0000 0.0000 0.2848
Te3 Te 0.3200 0.8200 0.5000
Se2 Se 0.5000 0.5000 0.0000
Se3 Se 0.6585 0.8415 0.1982
In1 In 0.0000 0.5000 0.6547
Se4 Se 0.1585 0.6585 0.8018
Ba6 Ba 0.5000 0.5000 0.7152
Se5 Se 0.6585 0.8415 0.8018
Ba7 Ba 0.5000 0.5000 0.2848
Se6 Se 0.0000 0.0000 0.0000
In2 In 0.0000 0.5000 0.3453
Se7 Se 0.1585 0.6585 0.1982
Se8 Se 0.3415 0.1585 0.8018
In3 In 0.5000 0.0000 0.3453
Ba8 Ba 0.0000 0.0000 0.7152
In4 In 0.5000 0.0000 0.6547
Se9 Se 0.3415 0.1585 0.1982
Te4 Te 0.6800 0.1800 0.5000
Se10 Se 0.8415 0.3415 0.8018

10.
# BaZnIn3, optimized geometry, DFT PBE-GGA
# * energy of formation from the pure elements: -1.75 eV/f.u.
data_BaZnIn3
_symmetry_space_group_name_H-M 'P 1'
_symmetry_Int_Tables_number 1
_cell_length_a 6.9902
_cell_length_b 6.9902
_cell_length_c 6.9902
_cell_angle_alpha 139.57
_cell_angle_beta 139.57
_cell_angle_gamma 58.51
loop_
_symmetry_equiv_pos_as_xyz
'x,y,z'
loop_
_atom_site_label
_atom_site_type_symbol
_atom_site_fract_x
_atom_site_fract_y
_atom_site_fract_z
Ba1 Ba 0.0036 0.0036 0.0000
In1 In 0.2436 0.7436 0.5000
Zn1 Zn 0.6156 0.6156 0.0000
In2 In 0.7436 0.2436 0.5000
In3 In 0.3935 0.3935 0.0000

11.
# Ba2ZnIn, optimized geometry, DFT PBE-GGA
# * energy of formation from the pure elements: -1.14 eV/f.u.
data_Ba2ZnIn
_symmetry_space_group_name_H-M 'P 1'
_symmetry_Int_Tables_number 1
_cell_length_a 5.9398
_cell_length_b 5.9398
_cell_length_c 5.9398
_cell_angle_alpha 60.00
_cell_angle_beta 60.00
_cell_angle_gamma 60.00
loop_
_symmetry_equiv_pos_as_xyz
'x,y,z'
loop_
_atom_site_label
_atom_site_type_symbol
_atom_site_fract_x
_atom_site_fract_y
_atom_site_fract_z
In1 In 0.5000 0.5000 0.5000
Zn1 Zn 0.0000 0.0000 0.0000
Ba1 Ba 0.2500 0.2500 0.2500
Ba2 Ba 0.7500 0.7500 0.7500